# 1
# PBE+U MgCr2Cu2O8, relaxed
# - DFT formation energy (eV/atom) = -1.675
# - theoretical density (g cm⁻³) = 3.99
data_MgCr2Cu2O8
_chemical_formula_sum 'Mg4 Cr8 Cu8 O32'
_space_group_name_H-M_alt 'P 1 21/c 1'
_space_group_IT_number 14
_space_group_name_Hall '-P 2ybc'
_cell_length_a 6.500
_cell_length_b 8.250
_cell_length_c 11.893
_cell_angle_alpha 90.00
_cell_angle_beta 90.27
_cell_angle_gamma 90.00
loop_
_atom_site_label
_atom_site_fract_x
_atom_site_fract_y
_atom_site_fract_z
_atom_site_occupancy
Mg1 0.115 0.159 0.049 1
Cr1 0.102 0.039 0.346 1
Cr2 0.388 0.586 0.369 1
Cu1 0.241 0.682 0.629 1
Cu2 0.382 0.059 0.634 1
O1 0.037 0.226 0.395 1
O2 0.078 0.102 0.617 1
O3 0.121 0.040 0.206 1
O4 0.187 0.575 0.472 1
O5 0.316 0.632 0.229 1
O6 0.329 0.511 0.901 1
O7 0.415 0.218 0.085 1
O8 0.486 0.105 0.861 1



# 2
# PBE+U Li4V3P8O29, relaxed
# - DFT formation energy (eV/atom) = -2.575
# - theoretical density (g cm⁻³) = 2.53
# - distance to the lowest polymorph of the same formula (eV per atom) = 0.009
data_Li4V3P8O29
_chemical_formula_sum 'Li8 V6 P16 O58'
_space_group_name_H-M_alt 'P 1'
_space_group_IT_number 1
_space_group_name_Hall 'P 1'
_cell_length_a 9.758
_cell_length_b 9.775
_cell_length_c 14.170
_cell_angle_alpha 89.92
_cell_angle_beta 89.82
_cell_angle_gamma 60.14
loop_
_atom_site_label
_atom_site_fract_x
_atom_site_fract_y
_atom_site_fract_z
_atom_site_occupancy
Li1 0.000 0.000 0.000 1
Li2 0.005 0.548 0.494 1
Li3 0.134 0.401 0.995 1
Li4 0.143 0.983 0.494 1
Li5 0.574 0.415 0.496 1
Li6 0.685 0.233 0.116 1
Li7 0.817 0.636 0.114 1
Li8 0.914 0.311 0.552 1
V1 0.342 0.883 0.303 1
V2 0.346 0.312 0.802 1
V3 0.473 0.319 0.306 1
V4 0.474 0.751 0.808 1
V5 0.905 0.885 0.799 1
V6 0.909 0.750 0.310 1
P1 0.137 0.005 0.711 1
P2 0.139 0.406 0.212 1
P3 0.214 0.233 0.393 1
P4 0.220 0.091 0.894 1
P5 0.236 0.651 0.923 1
P6 0.242 0.653 0.427 1
P7 0.574 0.982 0.686 1
P8 0.578 0.982 0.187 1
P9 0.594 0.548 0.212 1
P10 0.597 0.406 0.716 1
P11 0.681 0.227 0.897 1
P12 0.681 0.625 0.398 1
P13 0.818 0.636 0.894 1
P14 0.822 0.095 0.396 1
P15 0.997 0.541 0.713 1
P16 0.997 0.996 0.215 1
O1 0.007 0.836 0.235 1
O2 0.086 0.798 0.880 1
O3 0.098 0.639 0.389 1
O4 0.104 0.322 0.473 1
O5 0.121 0.086 0.619 1
O6 0.121 0.118 0.797 1
O7 0.121 0.305 0.295 1
O8 0.130 0.086 0.977 1
O9 0.152 0.330 0.119 1
O10 0.164 0.975 0.222 1
O11 0.168 0.402 0.725 1
O12 0.232 0.657 0.028 1
O13 0.232 0.807 0.382 1
O14 0.240 0.665 0.532 1
O15 0.242 0.498 0.883 1
O16 0.247 0.058 0.393 1
O17 0.248 0.235 0.895 1
O18 0.290 0.417 0.236 1
O19 0.293 0.849 0.726 1
O20 0.369 0.236 0.387 1
O21 0.381 0.658 0.877 1
O22 0.381 0.937 0.879 1
O23 0.398 0.508 0.389 1
O24 0.425 0.132 0.731 1
O25 0.431 0.700 0.233 1
O26 0.432 0.979 0.237 1
O27 0.438 0.406 0.730 1
O28 0.523 0.781 0.385 1
O29 0.528 0.220 0.875 1
O30 0.564 0.577 0.726 1
O31 0.571 0.402 0.214 1
O32 0.572 0.977 0.082 1
O33 0.573 0.986 0.582 1
O34 0.575 0.836 0.732 1
O35 0.579 0.132 0.225 1
O36 0.649 0.235 0.393 1
O37 0.650 0.661 0.891 1
O38 0.672 0.561 0.126 1
O39 0.673 0.305 0.988 1
O40 0.678 0.333 0.625 1
O41 0.693 0.524 0.480 1
O42 0.703 0.315 0.807 1
O43 0.703 0.525 0.303 1
O44 0.722 0.986 0.730 1
O45 0.726 0.831 0.227 1
O46 0.811 0.795 0.875 1
O47 0.821 0.658 0.396 1
O48 0.824 0.937 0.388 1
O49 0.827 0.057 0.892 1
O50 0.896 0.116 0.297 1
O51 0.906 0.524 0.804 1
O52 0.907 0.560 0.983 1
O53 0.913 0.112 0.475 1
O54 0.914 0.068 0.124 1
O55 0.927 0.528 0.623 1
O56 0.991 0.572 0.220 1
O57 0.995 0.974 0.725 1
O58 0.996 0.699 0.726 1



# 3
# PBE+U VH10C2O10, relaxed
# - DFT formation energy (eV/atom) = -1.467
# - theoretical density (g cm⁻³) = 1.79
data_VH10C2O10
_chemical_formula_sum 'V4 H40 C8 O40'
_space_group_name_H-M_alt 'P 1 21/c 1'
_space_group_IT_number 14
_space_group_name_Hall '-P 2ybc'
_cell_length_a 7.229
_cell_length_b 8.929
_cell_length_c 14.131
_cell_angle_alpha 90.00
_cell_angle_beta 95.15
_cell_angle_gamma 90.00
loop_
_atom_site_label
_atom_site_fract_x
_atom_site_fract_y
_atom_site_fract_z
_atom_site_occupancy
V1 0.188 0.232 0.011 1
H1 0.120 0.136 0.671 1
H2 0.188 0.543 0.961 1
H3 0.235 0.694 0.314 1
H4 0.264 0.533 0.359 1
H5 0.300 0.027 0.380 1
H6 0.335 0.098 0.652 1
H7 0.396 0.601 0.745 1
H8 0.450 0.693 0.435 1
H9 0.462 0.749 0.046 1
H10 0.490 0.547 0.244 1
C1 0.006 0.689 0.669 1
C2 0.154 0.744 0.604 1
O1 0.047 0.678 0.757 1
O2 0.088 0.719 0.019 1
O3 0.154 0.156 0.874 1
O4 0.176 0.076 0.070 1
O5 0.207 0.119 0.621 1
O6 0.215 0.051 0.429 1
O7 0.320 0.750 0.135 1
O8 0.331 0.623 0.342 1
O9 0.457 0.533 0.794 1
O10 0.469 0.242 0.012 1



# 4
# PBE+U Sr2CoGe2O7, relaxed
# - DFT formation energy (eV/atom) = -2.514
# - theoretical density (g cm⁻³) = 4.43
data_Sr2CoGe2O7
_chemical_formula_sum 'Sr4 Co2 Ge4 O14'
_space_group_name_H-M_alt 'P -4 21 m'
_space_group_IT_number 113
_space_group_name_Hall 'P -4 2ab'
_cell_length_a 8.262
_cell_length_b 8.262
_cell_length_c 5.395
_cell_angle_alpha 90.00
_cell_angle_beta 90.00
_cell_angle_gamma 90.00
loop_
_atom_site_label
_atom_site_fract_x
_atom_site_fract_y
_atom_site_fract_z
_atom_site_occupancy
Sr1 0.166 0.334 0.007 1
Co1 0.000 0.000 0.500 1
Ge1 0.143 0.643 0.549 1
O1 0.000 0.500 0.684 1
O2 0.082 0.821 0.708 1
O3 0.139 0.639 0.226 1



# 5
# PBE+U Na5LiCo2P2C2O14, relaxed
# - DFT formation energy (eV/atom) = -2.239
# - theoretical density (g cm⁻³) = 2.95
# - distance to the lowest polymorph of the same formula (eV per atom) = 0.001
data_Na5LiCo2P2C2O14
_chemical_formula_sum 'Na10 Li2 Co4 P4 C4 O28'
_space_group_name_H-M_alt 'P 1'
_space_group_IT_number 1
_space_group_name_Hall 'P 1'
_cell_length_a 8.501
_cell_length_b 8.517
_cell_length_c 8.839
_cell_angle_alpha 91.77
_cell_angle_beta 91.33
_cell_angle_gamma 104.72
loop_
_atom_site_label
_atom_site_fract_x
_atom_site_fract_y
_atom_site_fract_z
_atom_site_occupancy
Na1 0.000 0.000 0.000 1
Na2 0.010 0.511 0.465 1
Na3 0.146 0.887 0.651 1
Na4 0.258 0.741 0.003 1
Na5 0.267 0.253 0.467 1
Na6 0.500 0.500 0.000 1
Na7 0.511 0.012 0.464 1
Na8 0.646 0.387 0.651 1
Na9 0.757 0.241 0.002 1
Na10 0.767 0.754 0.467 1
Li1 0.120 0.362 0.842 1
Li2 0.621 0.862 0.842 1
Co1 0.369 0.112 0.080 1
Co2 0.402 0.638 0.384 1
Co3 0.869 0.612 0.080 1
Co4 0.903 0.139 0.382 1
P1 0.120 0.862 0.319 1
P2 0.148 0.391 0.146 1
P3 0.620 0.362 0.319 1
P4 0.647 0.890 0.146 1
C1 0.361 0.603 0.686 1
C2 0.401 0.144 0.795 1
C3 0.861 0.103 0.685 1
C4 0.902 0.644 0.795 1
O1 0.002 0.743 0.890 1
O2 0.018 0.444 0.046 1
O3 0.066 0.993 0.419 1
O4 0.081 0.323 0.299 1
O5 0.186 0.930 0.166 1
O6 0.201 0.261 0.045 1
O7 0.251 0.807 0.416 1
O8 0.279 0.527 0.566 1
O9 0.287 0.031 0.852 1
O10 0.297 0.539 0.179 1
O11 0.313 0.554 0.819 1
O12 0.414 0.158 0.651 1
O13 0.470 0.213 0.287 1
O14 0.486 0.724 0.669 1
O15 0.502 0.243 0.890 1
O16 0.518 0.944 0.045 1
O17 0.565 0.493 0.418 1
O18 0.580 0.822 0.299 1
O19 0.686 0.430 0.166 1
O20 0.702 0.762 0.045 1
O21 0.752 0.309 0.416 1
O22 0.779 0.027 0.565 1
O23 0.788 0.531 0.852 1
O24 0.795 0.040 0.180 1
O25 0.813 0.054 0.818 1
O26 0.914 0.659 0.651 1
O27 0.970 0.714 0.287 1
O28 0.986 0.225 0.668 1



# 6
# PBE+U Li7Mn8B8O24, relaxed
# - DFT formation energy (eV/atom) = -2.484
# - theoretical density (g cm⁻³) = 3.17
data_Li7Mn8B8O24
_chemical_formula_sum 'Li7 Mn8 B8 O24'
_space_group_name_H-M_alt 'P 1'
_space_group_IT_number 1
_space_group_name_Hall 'P 1'
_cell_length_a 5.249
_cell_length_b 9.147
_cell_length_c 11.538
_cell_angle_alpha 68.52
_cell_angle_beta 77.82
_cell_angle_gamma 89.90
loop_
_atom_site_label
_atom_site_fract_x
_atom_site_fract_y
_atom_site_fract_z
_atom_site_occupancy
Li1 0.000 0.000 0.000 1
Li2 0.011 0.038 0.266 1
Li3 0.209 0.267 0.504 1
Li4 0.256 0.298 0.753 1
Li5 0.496 0.499 0.004 1
Li6 0.517 0.544 0.255 1
Li7 0.714 0.765 0.508 1
Mn1 0.212 0.913 0.537 1
Mn2 0.245 0.619 0.790 1
Mn3 0.467 0.819 0.033 1
Mn4 0.500 0.201 0.285 1
Mn5 0.704 0.413 0.539 1
Mn6 0.749 0.101 0.783 1
Mn7 0.976 0.319 0.035 1
Mn8 0.993 0.698 0.286 1
B1 0.196 0.575 0.544 1
B2 0.265 0.951 0.782 1
B3 0.464 0.141 0.047 1
B4 0.487 0.858 0.302 1
B5 0.713 0.077 0.533 1
B6 0.743 0.429 0.799 1
B7 0.952 0.647 0.047 1
B8 0.993 0.364 0.295 1
O1 0.055 0.768 0.076 1
O2 0.122 0.553 0.002 1
O3 0.131 0.074 0.800 1
O4 0.174 0.858 0.722 1
O5 0.196 0.121 0.063 1
O6 0.246 0.368 0.311 1
O7 0.301 0.432 0.558 1
O8 0.315 0.961 0.343 1
O9 0.327 0.687 0.573 1
O10 0.393 0.755 0.255 1
O11 0.468 0.105 0.500 1
O12 0.486 0.909 0.829 1
O13 0.566 0.257 0.082 1
O14 0.597 0.541 0.824 1
O15 0.633 0.047 0.001 1
O16 0.644 0.330 0.748 1
O17 0.684 0.622 0.067 1
O18 0.742 0.866 0.312 1
O19 0.823 0.469 0.327 1
O20 0.828 0.184 0.571 1
O21 0.837 0.948 0.526 1
O22 0.904 0.254 0.252 1
O23 0.964 0.608 0.503 1
O24 0.993 0.410 0.827 1



# 7
# PBE+U Ca2MnAs2H2O8, relaxed
# - DFT formation energy (eV/atom) = -1.845
# - theoretical density (g cm⁻³) = 3.44
data_Ca2MnAs2H2O8
_chemical_formula_sum 'Ca4 Mn2 As4 H4 O16'
_space_group_name_H-M_alt 'P 1 21/c 1'
_space_group_IT_number 14
_space_group_name_Hall '-P 2ybc'
_cell_length_a 6.085
_cell_length_b 12.559
_cell_length_c 5.639
_cell_angle_alpha 90.00
_cell_angle_beta 111.42
_cell_angle_gamma 90.00
loop_
_atom_site_label
_atom_site_fract_x
_atom_site_fract_y
_atom_site_fract_z
_atom_site_occupancy
Ca1 0.062 0.126 0.256 1
Mn1 0.500 0.000 0.000 1
As1 0.290 0.627 0.933 1
H1 0.367 0.127 0.956 1
O1 0.065 0.711 0.922 1
O2 0.215 0.550 0.659 1
O3 0.265 0.537 0.166 1
O4 0.437 0.180 0.485 1



Repeat the fifth record exactly.
# PBE+U Na5LiCo2P2C2O14, relaxed
# - DFT formation energy (eV/atom) = -2.239
# - theoretical density (g cm⁻³) = 2.95
# - distance to the lowest polymorph of the same formula (eV per atom) = 0.001
data_Na5LiCo2P2C2O14
_chemical_formula_sum 'Na10 Li2 Co4 P4 C4 O28'
_space_group_name_H-M_alt 'P 1'
_space_group_IT_number 1
_space_group_name_Hall 'P 1'
_cell_length_a 8.501
_cell_length_b 8.517
_cell_length_c 8.839
_cell_angle_alpha 91.77
_cell_angle_beta 91.33
_cell_angle_gamma 104.72
loop_
_atom_site_label
_atom_site_fract_x
_atom_site_fract_y
_atom_site_fract_z
_atom_site_occupancy
Na1 0.000 0.000 0.000 1
Na2 0.010 0.511 0.465 1
Na3 0.146 0.887 0.651 1
Na4 0.258 0.741 0.003 1
Na5 0.267 0.253 0.467 1
Na6 0.500 0.500 0.000 1
Na7 0.511 0.012 0.464 1
Na8 0.646 0.387 0.651 1
Na9 0.757 0.241 0.002 1
Na10 0.767 0.754 0.467 1
Li1 0.120 0.362 0.842 1
Li2 0.621 0.862 0.842 1
Co1 0.369 0.112 0.080 1
Co2 0.402 0.638 0.384 1
Co3 0.869 0.612 0.080 1
Co4 0.903 0.139 0.382 1
P1 0.120 0.862 0.319 1
P2 0.148 0.391 0.146 1
P3 0.620 0.362 0.319 1
P4 0.647 0.890 0.146 1
C1 0.361 0.603 0.686 1
C2 0.401 0.144 0.795 1
C3 0.861 0.103 0.685 1
C4 0.902 0.644 0.795 1
O1 0.002 0.743 0.890 1
O2 0.018 0.444 0.046 1
O3 0.066 0.993 0.419 1
O4 0.081 0.323 0.299 1
O5 0.186 0.930 0.166 1
O6 0.201 0.261 0.045 1
O7 0.251 0.807 0.416 1
O8 0.279 0.527 0.566 1
O9 0.287 0.031 0.852 1
O10 0.297 0.539 0.179 1
O11 0.313 0.554 0.819 1
O12 0.414 0.158 0.651 1
O13 0.470 0.213 0.287 1
O14 0.486 0.724 0.669 1
O15 0.502 0.243 0.890 1
O16 0.518 0.944 0.045 1
O17 0.565 0.493 0.418 1
O18 0.580 0.822 0.299 1
O19 0.686 0.430 0.166 1
O20 0.702 0.762 0.045 1
O21 0.752 0.309 0.416 1
O22 0.779 0.027 0.565 1
O23 0.788 0.531 0.852 1
O24 0.795 0.040 0.180 1
O25 0.813 0.054 0.818 1
O26 0.914 0.659 0.651 1
O27 0.970 0.714 0.287 1
O28 0.986 0.225 0.668 1



Question: What is the formula in the sixth record?
Answer: Li7Mn8B8O24